[1]
SrIn2 | PBE | optimized geometry

Summary:
- final energy (eV for the cell shown) = -17.1
- ρ (g/cm³) = 5.76
- formation energy (eV per atom) = -0.45

```
data_SrIn2
_chemical_formula_sum 'Sr2 In4'
_cell_length_a 5.0967
_cell_length_b 5.0967
_cell_length_c 8.1273
_cell_angle_alpha 90.00
_cell_angle_beta 90.00
_cell_angle_gamma 120.00
_space_group_name_H-M_alt 'P 63/m m c'
_space_group_IT_number 194
_space_group_name_Hall '-P 6c 2c'
loop_
_atom_site_label
_atom_site_type_symbol
_atom_site_fract_x
_atom_site_fract_y
_atom_site_fract_z
Sr1 Sr 0.0000 0.0000 0.2500
In1 In 0.3333 0.6667 0.0454
```


[2]
Be2BO4 | PBE | optimized geometry

Summary:
- final energy (eV for the cell shown) = -400.3
- ρ (g/cm³) = 2.26
- formation energy (eV per atom) = -2.69

```
data_Be2BO4
_chemical_formula_sum 'Be16 B8 O32'
_cell_length_a 4.471
_cell_length_b 9.594
_cell_length_c 12.711
_cell_angle_alpha 90.00
_cell_angle_beta 90.00
_cell_angle_gamma 90.00
_space_group_name_H-M_alt 'P b c a'
_space_group_IT_number 61
_space_group_name_Hall '-P 2ac 2ab'
loop_
_atom_site_label
_atom_site_type_symbol
_atom_site_fract_x
_atom_site_fract_y
_atom_site_fract_z
Be1 Be 0.214 0.240 0.066
Be2 Be 0.229 0.007 0.193
B1 B 0.219 0.114 0.387
O1 O 0.089 0.609 0.110
O2 O 0.129 0.540 0.311
O3 O 0.129 0.694 0.460
O4 O 0.195 0.151 0.662
```